(1)
First-principles (PBE) data for crystalline Al2ZnSe4 at its relaxed geometry, as listed in the Materials Project database.

Cell: 7.5640 7.5640 7.5640 Å, 60.00 60.00 60.00°
Closest atoms and distances in Å follow each position.
Element x y z (fractional)
Al 0.0000 0.0000 0.0000  6 Se 2.58
Al 0.0000 0.0000 0.5000  6 Se 2.58
Al 0.0000 0.5000 0.0000  6 Se 2.58
Al 0.5000 0.0000 0.0000  6 Se 2.58
Zn 0.3750 0.3750 0.3750  4 Se 2.49
Zn 0.6250 0.6250 0.6250  4 Se 2.49
Se 0.2220 0.7593 0.7593  1 Zn 2.49, 3 Al 2.58
Se 0.2407 0.2407 0.2407  1 Zn 2.49, 3 Al 2.58
Se 0.2407 0.2407 0.7780  1 Zn 2.49, 3 Al 2.58
Se 0.2407 0.7780 0.2407  1 Zn 2.49, 3 Al 2.58
Se 0.7593 0.2220 0.7593  1 Zn 2.49, 3 Al 2.58
Se 0.7593 0.7593 0.2220  1 Zn 2.49, 3 Al 2.58
Se 0.7593 0.7593 0.7593  1 Zn 2.49, 3 Al 2.58
Se 0.7780 0.2407 0.2407  1 Zn 2.49, 3 Al 2.58

Summary:
Space group = Fd-3m (227)
Calculated formation energy = -1.07 eV per atom
Energy = -56.67 eV/cell

***

(2)
First-principles (PBE) data for crystalline Al2ZnSe4 at its relaxed geometry, as listed in the Materials Project database.

Cell: 6.5172 3.8699 6.9872 Å, 90.00 90.33 90.00°
Closest atoms and distances in Å follow each position.
Element x y z (fractional)
Al 0.0000 0.0000 0.0000  4 Se 2.34-2.51
Al 0.4505 0.0000 0.3210  4 Se 2.32-2.55
Zn 0.9901 0.5000 0.5138  4 Se 2.47-2.53
Se 0.3584 0.0000 0.9994  2 Al 2.32-2.34
Se 0.3693 0.5000 0.5202  2 Al 2.44, 1 Zn 2.47
Se 0.8416 0.0000 0.3265  2 Al 2.51-2.55, 2 Zn 2.53
Se 0.8423 0.5000 0.8408  2 Al 2.45, 1 Zn 2.48

Summary:
Space group = Pm (6)
Calculated formation energy = -1.05 eV per atom
Energy = -28.21 eV/cell

***

The records above yield E (MP2020) values of -4.318, -4.300 eV/atom, respectively.